# PBE AlCrFe2, relaxed
# - energy above the lowest structure with this stoichiometry (meV per atom) = 156
# - total magnetic moment (Bohr magnetons per cell) = 7.919
# - calculated total energy (eV per atom) = -7.59
# - DFT formation energy (eV/atom) = -0.009
data_AlCrFe2
_chemical_formula_sum 'Al2 Cr2 Fe4'
_cell_length_a 3.003
_cell_length_b 4.079
_cell_length_c 7.953
_cell_angle_alpha 90.00
_cell_angle_beta 90.00
_cell_angle_gamma 90.00
_symmetry_space_group_name_H-M 'C m m 2'
_symmetry_Int_Tables_number 35
loop_
_symmetry_equiv_pos_as_xyz
'x,y,z'
'-x,-y,z'
'-x,y,z'
'x,-y,z'
'x+1/2,y+1/2,z'
'-x+1/2,-y+1/2,z'
'-x+1/2,y+1/2,z'
'x+1/2,-y+1/2,z'
loop_
_atom_site_label
_atom_site_fract_x
_atom_site_fract_y
_atom_site_fract_z
Al1 0.000 0.000 0.000
Cr1 0.000 0.500 0.261
Fe1 0.000 0.000 0.504
Fe2 0.000 0.500 0.749